Entry 1:
Entry from the Materials Project database: a relaxed structure of Sn4BRh6 (GGA-PBE).

## Properties
Electronic total energy, eV/atom: -6.570
Calculated volume, Å³/cell: 387
ΔE_f, meV/atom: -488

The structure in POSCAR format:
```
Sn4BRh6
1.0
2.839 -4.916 0.000
2.839 4.916 0.000
0.000 0.000 13.879
Sn Rh B
8 12 2
Direct
0.667 0.333 0.923
0.333 0.667 0.423
0.667 0.333 0.577
0.333 0.667 0.750
0.667 0.333 0.250
0.000 0.000 0.250
0.000 0.000 0.750
0.333 0.667 0.077
0.832 0.168 0.093
0.168 0.336 0.593
0.168 0.832 0.593
0.832 0.664 0.093
0.832 0.168 0.407
0.664 0.832 0.593
0.664 0.832 0.907
0.832 0.664 0.407
0.336 0.168 0.093
0.336 0.168 0.407
0.168 0.336 0.907
0.168 0.832 0.907
0.000 0.000 0.000
0.000 0.000 0.500
```

Entry 2:
Entry from the Materials Project database: a relaxed structure of EuO (GGA-PBE).

## Properties
Electronic total energy, eV/atom: -10.398
Calculated volume, Å³/cell: 33
ΔE_f, meV/atom: -3139

The structure in POSCAR format:
```
EuO
1.0
0.000 2.542 2.542
2.542 0.000 2.542
2.542 2.542 0.000
Eu O
1 1
Direct
0.000 0.000 0.000
0.500 0.500 0.500
```

Entry 3:
Entry from the Materials Project database: a relaxed structure of GdHoTl2 (GGA-PBE).

## Properties
Electronic total energy, eV/atom: -6.198
Calculated volume, Å³/cell: 110
ΔE_f, meV/atom: -352

The structure in POSCAR format:
```
GdHoTl2
1.0
0.564 -2.179 4.893
-4.291 -2.002 2.567
-0.507 -5.322 0.652
Gd Ho Tl
1 1 2
Direct
0.500 0.500 0.500
0.000 0.000 0.000
0.750 0.750 0.750
0.250 0.250 0.250
```

Q: Number 3 is which compound?
A: GdHoTl2

Q: Among the records above, which one has the lowest electronic total energy?
A: EuO

Q: calculated volume of number 1 (Sn4BRh6)?
A: 387 Å³/cell